--- one ---
YCo2S4, relaxed, DFT PBE; mass density = 4.4 Mg/m³; magnetization = 2.0 μB/cell; space-group type = Imma (74)
1.0
-3.443 3.792 4.867
3.443 -3.792 4.867
3.443 3.792 -4.867
Co S Y
4 8 2
direct
0.000 0.500 0.500
0.500 0.500 0.000
0.500 0.500 0.500
0.500 0.000 0.000
0.725 0.273 0.452
0.680 0.727 0.952
0.275 0.727 0.548
0.320 0.273 0.048
0.260 0.289 0.529
0.740 0.711 0.471
0.740 0.269 0.029
0.260 0.731 0.971
0.000 0.000 0.000
0.500 0.000 0.500

--- two ---
YCo2S4, relaxed, DFT PBE; mass density = 4.3 Mg/m³; magnetization = 1.9 μB/cell; space-group type = I4_1/amd (141)
1.0
1.718 -6.874 1.354
-6.555 -2.298 -1.945
4.006 4.054 -4.423
Co S Y
4 8 2
direct
0.875 0.125 0.250
0.875 0.625 0.750
0.375 0.125 0.250
0.875 0.125 0.750
0.100 0.890 0.791
0.691 0.900 0.791
0.100 0.309 0.209
0.110 0.900 0.209
0.650 0.360 0.709
0.640 0.350 0.291
0.650 0.941 0.291
0.059 0.350 0.709
0.250 0.750 0.500
0.500 0.500 0.000

Least stable structure: two

--- one ---
ZnCo2S4, relaxed, DFT PBE; mass density = 4.6 Mg/m³; magnetization = 0.0 μB/cell; space-group type = Fd-3m (227)
1.0
0.000 4.812 4.812
4.812 0.000 4.812
4.812 4.812 0.000
S Co Zn
8 4 2
direct
0.391 0.391 0.827
0.859 0.859 0.423
0.859 0.423 0.859
0.827 0.391 0.391
0.423 0.859 0.859
0.391 0.391 0.391
0.859 0.859 0.859
0.391 0.827 0.391
0.625 0.625 0.125
0.125 0.625 0.625
0.625 0.125 0.625
0.625 0.625 0.625
0.000 0.000 0.000
0.250 0.250 0.250

--- two ---
ZnCo2S4, relaxed, DFT PBE; mass density = 4.6 Mg/m³; magnetization = 0.0 μB/cell; space-group type = Imma (74)
1.0
-5.423 -3.083 2.757
-0.441 5.106 4.500
-0.014 1.387 -6.678
Co S Zn
4 8 2
direct
0.000 0.500 0.000
0.000 0.000 0.500
0.500 0.000 0.500
0.000 0.000 0.000
0.207 0.243 0.964
0.221 0.757 0.464
0.233 0.761 0.029
0.793 0.757 0.036
0.767 0.239 0.971
0.779 0.243 0.536
0.767 0.796 0.529
0.233 0.204 0.471
0.000 0.500 0.500
0.500 0.500 0.000

Least stable structure: two

--- one ---
Sc2Co3Si5, relaxed, DFT PBE; mass density = 4.9 Mg/m³; magnetization = 0.5 μB/cell; space-group type = C2/c (15)
1.0
5.611 5.237 0.000
-5.611 5.237 0.000
0.000 2.513 4.720
Co Sc Si
6 4 10
direct
0.263 0.543 0.627
0.543 0.263 0.127
0.997 0.003 0.250
0.003 0.997 0.750
0.737 0.457 0.373
0.457 0.737 0.873
0.871 0.594 0.765
0.129 0.406 0.235
0.594 0.871 0.265
0.406 0.129 0.735
0.227 0.773 0.250
0.928 0.735 0.170
0.487 0.513 0.250
0.513 0.487 0.750
0.773 0.227 0.750
0.211 0.789 0.750
0.265 0.072 0.330
0.789 0.211 0.250
0.072 0.265 0.830
0.735 0.928 0.670

--- two ---
Sc2Co3Si5, relaxed, DFT PBE; mass density = 4.9 Mg/m³; magnetization = 0.0 μB/cell; space-group type = Ibam (72)
1.0
-2.696 4.705 5.449
2.696 -4.705 5.449
2.696 4.705 -5.449
Co Si Sc
6 10 4
direct
0.252 0.862 0.390
0.472 0.362 0.110
0.528 0.638 0.890
0.000 0.250 0.250
0.748 0.138 0.610
0.000 0.750 0.750
0.225 0.975 0.750
0.775 0.525 0.750
0.500 0.750 0.250
0.775 0.025 0.250
0.063 0.901 0.162
0.225 0.475 0.250
0.937 0.099 0.838
0.500 0.250 0.750
0.262 0.599 0.662
0.738 0.401 0.338
0.132 0.365 0.767
0.598 0.865 0.733
0.868 0.635 0.233
0.402 0.135 0.267

Least stable structure: two

--- one ---
Co3Se4, relaxed, DFT PBE; mass density = 6.8 Mg/m³; space-group type = Fd-3m (227)
1.0
0.000 4.927 4.927
4.927 0.000 4.927
4.927 4.927 0.000
Se Co
8 6
direct
0.368 0.368 0.897
0.368 0.897 0.368
0.882 0.882 0.882
0.897 0.368 0.368
0.368 0.368 0.368
0.882 0.882 0.353
0.353 0.882 0.882
0.882 0.353 0.882
0.125 0.125 0.625
0.500 0.500 0.500
0.750 0.750 0.750
0.125 0.125 0.125
0.625 0.125 0.125
0.125 0.625 0.125

--- two ---
Co3Se4, relaxed, DFT PBE; mass density = 7.2 Mg/m³; space-group type = C2/m (12)
1.0
-1.882 2.000 -2.288
-3.901 1.510 4.529
5.697 2.362 0.171
Co Se
3 4
direct
0.239 0.219 0.478
0.500 0.500 0.000
0.761 0.781 0.522
0.134 0.476 0.268
0.866 0.524 0.732
0.622 0.956 0.245
0.378 0.044 0.755

Least stable structure: two